w.
Density functional theory data (PBE with a Hubbard U) for a geometry-optimized Li2NiC2O6 structure. Values from VASP.

Structure (Quantum ESPRESSO input):
```
&SYSTEM
  ibrav = 0, nat = 44, ntyp = 4
/
ATOMIC_SPECIES
Li 6.94 Li.upf
Ni 58.69 Ni.upf
C 12.01 C.upf
O 16.00 O.upf
ATOMIC_POSITIONS crystal
Li 0.6063 0.6189 0.8544
Li 0.7072 0.0744 0.2958
Li 0.1063 0.3811 0.6456
Li 0.2072 0.9256 0.2042
Li 0.7928 0.0744 0.7958
Li 0.8937 0.6189 0.3544
Li 0.2928 0.9256 0.7042
Li 0.3937 0.3811 0.1456
Ni 0.1323 0.5044 0.9395
Ni 0.6323 0.4956 0.5605
Ni 0.3677 0.5044 0.4395
Ni 0.8677 0.4956 0.0605
C 0.8837 0.5359 0.7245
C 0.3837 0.4642 0.7755
C 0.9884 0.0806 0.1623
C 0.4884 0.9194 0.3377
C 0.5116 0.0806 0.6623
C 0.0116 0.9194 0.8377
C 0.6163 0.5359 0.2245
C 0.1163 0.4642 0.2755
O 0.3346 0.4732 0.9050
O 0.0179 0.5408 0.7377
O 0.7989 0.5364 0.8333
O 0.2989 0.4636 0.6667
O 0.5179 0.4592 0.7623
O 0.8346 0.5268 0.5950
O 0.4991 0.1206 0.2511
O 0.8738 0.1745 0.1629
O 0.0984 0.1881 0.0746
O 0.5984 0.8119 0.4254
O 0.3738 0.8255 0.3371
O 0.9991 0.8794 0.2489
O 0.0009 0.1206 0.7511
O 0.6262 0.1745 0.6629
O 0.4016 0.1881 0.5746
O 0.9016 0.8119 0.9254
O 0.1262 0.8255 0.8371
O 0.5009 0.8794 0.7489
O 0.1654 0.4732 0.4050
O 0.4821 0.5408 0.2377
O 0.7011 0.5364 0.3333
O 0.2011 0.4636 0.1667
O 0.9821 0.4592 0.2623
O 0.6654 0.5268 0.0950
CELL_PARAMETERS angstrom
9.5542 0.0000 0.0000
0.0000 7.4728 0.0000
0.0000 4.8583 7.7313
```

Space-group type = P2_1/c, No. 14

x.
Density functional theory data (PBE with a Hubbard U) for a geometry-optimized Li2NiC2O6 structure. Values from VASP.

Structure (Quantum ESPRESSO input):
```
&SYSTEM
  ibrav = 0, nat = 44, ntyp = 4
/
ATOMIC_SPECIES
Li 6.94 Li.upf
Ni 58.69 Ni.upf
C 12.01 C.upf
O 16.00 O.upf
ATOMIC_POSITIONS crystal
Li 0.8899 0.3215 0.9022
Li 0.3861 0.8213 0.9020
Li 0.7903 0.0715 0.5982
Li 0.2867 0.5715 0.5990
Li 0.8882 0.4287 0.4025
Li 0.3898 0.9284 0.4013
Li 0.2904 0.1786 0.0983
Li 0.7861 0.6784 0.0988
Ni 0.9887 0.7502 0.5001
Ni 0.4880 0.4996 0.0001
Ni 0.4880 0.2502 0.5001
Ni 0.9890 0.0003 0.0003
C 0.3259 0.3531 0.9344
C 0.8232 0.8529 0.9351
C 0.2604 0.1027 0.5652
C 0.7568 0.6027 0.5649
C 0.3251 0.3970 0.4348
C 0.8264 0.8972 0.4346
C 0.7600 0.1472 0.0653
C 0.2569 0.6473 0.0650
O 0.1173 0.4021 0.0086
O 0.6123 0.9009 0.0098
O 0.1240 0.1503 0.4897
O 0.6205 0.6504 0.4899
O 0.1162 0.3483 0.5091
O 0.6174 0.8486 0.5085
O 0.6256 0.0988 0.9902
O 0.1209 0.5997 0.9897
O 0.5580 0.3798 0.9193
O 0.0548 0.8803 0.9201
O 0.4764 0.1305 0.5804
O 0.9732 0.6303 0.5798
O 0.5576 0.3700 0.4194
O 0.0580 0.8700 0.4203
O 0.9770 0.1202 0.0804
O 0.4731 0.6194 0.0802
O 0.3049 0.2768 0.8722
O 0.8054 0.7765 0.8717
O 0.1804 0.0262 0.6288
O 0.6765 0.5262 0.6287
O 0.3043 0.4732 0.3721
O 0.8070 0.9736 0.3719
O 0.6768 0.2236 0.1282
O 0.1766 0.7238 0.1287
CELL_PARAMETERS angstrom
0.0005 -0.0051 -5.4345
0.0048 -16.2122 -0.0144
-5.3755 -0.0008 -2.7188
```

Space-group type = P1, No. 1

The structure with the most favorable energy is w; the runner-up is 0.013 eV/atom above it.